P | A geometry-optimized Ca3SnS5 structure. Source: the Materials Project database, functional GGA-PBE.

Calculated values
- Calculated volume: 25.41 Å³/atom
- M_tot: 0.0 μB per formula unit

Lattice parameters (Å, degrees): 12.1819 8.6187 8.7122 90.00 90.00 90.00
Space group Pnma (No. 62)
One atom of each set of equivalent atoms:
Ca 0.0093 0.2500 0.1101 (multiplicity 4)
Ca 0.2029 0.5112 0.3900 (multiplicity 8)
Sn 0.0925 0.2500 0.6821 (multiplicity 4)
S 0.0380 0.7500 0.5220 (multiplicity 4)
S 0.0720 0.0445 0.8600 (multiplicity 8)
S 0.2104 0.7500 0.1323 (multiplicity 4)
S 0.2195 0.2500 0.2029 (multiplicity 4)

Q | A geometry-optimized Ca3SnS5 structure. Source: the Materials Project database, functional GGA-PBE.

Calculated values
- Calculated volume: 23.46 Å³/atom
- M_tot: 0.0 μB per formula unit

Lattice parameters (Å, degrees): 7.7038 7.7038 14.2289 90.00 90.00 90.00
Space group I4/mcm (No. 140)
One atom of each set of equivalent atoms:
Ca 0.0000 0.0000 0.2500 (multiplicity 4)
Ca 0.1628 0.3372 0.0000 (multiplicity 8)
Sn 0.0000 0.5000 0.2500 (multiplicity 4)
S 0.0000 0.0000 0.0000 (multiplicity 4)
S 0.1644 0.3356 0.3576 (multiplicity 16)

R | A geometry-optimized Ca3SnS5 structure. Source: the Materials Project database, functional GGA-PBE.

Calculated values
- Calculated volume: 27.59 Å³/atom
- M_tot: 0.0 μB per formula unit

Lattice parameters (Å, degrees): 8.8413 8.8413 33.0146 90.00 90.00 120.00
Space group R3m (No. 160, hexagonal axes)
One atom of each set of equivalent atoms:
Ca 0.0195 0.5098 0.0000 (multiplicity 9)
Ca 0.1695 0.3390 0.5756 (multiplicity 9)
Ca 0.1855 0.3711 0.1156 (multiplicity 9)
Sn 0.0000 0.0000 0.0007 (multiplicity 3)
Sn 0.0000 0.0000 0.2226 (multiplicity 3)
Sn 0.0000 0.0000 0.7857 (multiplicity 3)
S 0.0000 0.0000 0.0710 (multiplicity 3)
S 0.0000 0.0000 0.1513 (multiplicity 3)
S 0.0000 0.0000 0.3776 (multiplicity 3)
S 0.0000 0.0000 0.4996 (multiplicity 3)
S 0.0000 0.0000 0.6401 (multiplicity 3)
S 0.0000 0.0000 0.8613 (multiplicity 3)
S 0.0342 0.5171 0.9097 (multiplicity 9)
S 0.0544 0.5272 0.6342 (multiplicity 9)
S 0.1902 0.3804 0.4222 (multiplicity 9)

Least stable of them? Q.

P | A geometry-optimized Ca3SnS5 structure. Source: the Materials Project database, functional GGA-PBE.

Calculated values
- Calculated volume: 22.39 Å³/atom
- M_tot: 0.0 μB per formula unit

Lattice parameters (Å, degrees): 8.0718 8.0718 7.1438 90.00 90.00 120.00
Space group P6_3cm (No. 185)
One atom of each set of equivalent atoms:
Ca 0.0000 0.4222 0.0000 (multiplicity 6)
Sn 0.0000 0.0000 0.2342 (multiplicity 2)
S 0.0000 0.2366 0.4845 (multiplicity 6)
S 0.3333 0.6667 0.2438 (multiplicity 4)

Q | A geometry-optimized Ca3SnS5 structure. Source: the Materials Project database, functional GGA-PBE.

Calculated values
- Calculated volume: 28.52 Å³/atom
- M_tot: 0.0 μB per formula unit

Lattice parameters (Å, degrees): 15.6053 8.9976 12.0964 90.00 114.93 90.00
Space group Cm (No. 8)
One atom of each set of equivalent atoms:
Ca 0.0000 0.0000 0.0000 (multiplicity 2)
Ca 0.0151 0.2362 0.3273 (multiplicity 4)
Ca 0.1979 0.0000 0.6836 (multiplicity 2)
Ca 0.2414 0.2414 0.9959 (multiplicity 4)
Ca 0.2808 0.5000 0.3259 (multiplicity 2)
Ca 0.4857 0.2870 0.6881 (multiplicity 4)
Sn 0.2193 0.5000 0.6690 (multiplicity 2)
Sn 0.2825 0.0000 0.3646 (multiplicity 2)
Sn 0.4923 0.0000 0.9958 (multiplicity 2)
S 0.0487 0.2798 0.9394 (multiplicity 4)
S 0.0567 0.5000 0.2113 (multiplicity 2)
S 0.1103 0.0000 0.2743 (multiplicity 2)
S 0.1139 0.0000 0.8575 (multiplicity 2)
S 0.1540 0.5000 0.4546 (multiplicity 2)
S 0.1694 0.2862 0.7407 (multiplicity 4)
S 0.3233 0.2131 0.2725 (multiplicity 4)
S 0.3256 0.0000 0.9314 (multiplicity 2)
S 0.3570 0.0000 0.5876 (multiplicity 2)
S 0.3639 0.5000 0.1093 (multiplicity 2)
S 0.3865 0.5000 0.7481 (multiplicity 2)
S 0.4933 0.5000 0.4988 (multiplicity 2)

R | A geometry-optimized Ca3SnS5 structure. Source: the Materials Project database, functional GGA-PBE.

Calculated values
- Calculated volume: 27.59 Å³/atom
- M_tot: 0.0 μB per formula unit

Lattice parameters (Å, degrees): 9.0204 9.0204 31.7107 90.00 90.00 120.00
Space group R3m (No. 160, hexagonal axes)
One atom of each set of equivalent atoms:
Ca 0.0463 0.5231 0.0000 (multiplicity 9)
Ca 0.1704 0.3408 0.1098 (multiplicity 9)
Ca 0.1893 0.3785 0.8872 (multiplicity 9)
Sn 0.0000 0.0000 0.5636 (multiplicity 3)
Sn 0.0000 0.0000 0.7831 (multiplicity 3)
Sn 0.0000 0.0000 0.9980 (multiplicity 3)
S 0.0000 0.0000 0.0733 (multiplicity 3)
S 0.0000 0.0000 0.1636 (multiplicity 3)
S 0.0000 0.0000 0.2757 (multiplicity 3)
S 0.0000 0.0000 0.3914 (multiplicity 3)
S 0.0000 0.0000 0.6404 (multiplicity 3)
S 0.0000 0.0000 0.8599 (multiplicity 3)
S 0.0442 0.5221 0.6397 (multiplicity 9)
S 0.1890 0.3779 0.4223 (multiplicity 9)
S 0.1927 0.3854 0.1990 (multiplicity 9)

Least stable of them? P.